# 1
The following is a r2SCAN calculation of a relaxed CeMo6S8 crystal, from the Materials Project database.

Structure (extended XYZ):
```
15
Lattice="-3.299 1.407 5.462 -5.662 -0.221 -3.245 -0.653 -6.359 1.358" Properties=species:S:1:pos:R:3 pbc="T T T"
Ce 0.000 0.000 0.000
Mo -6.186 -3.242 0.680
Mo -4.895 -4.183 2.797
Mo -6.116 -1.827 2.924
Mo -3.498 -3.345 0.651
Mo -4.719 -0.989 0.778
Mo -3.427 -1.931 2.895
S -4.943 -5.338 0.537
S -7.179 -0.916 0.922
S -7.276 -3.913 2.710
S -4.721 -2.805 4.804
S -4.892 -2.368 -1.229
S -2.337 -1.260 0.865
S -2.435 -4.257 2.653
S -4.671 0.166 3.038
```

Calculated values
E, eV per atom: -17.85
V, A^3/atom: 18.581
Magnetization, μB/f.u.: 0.83
Energy of formation from the pure elements, meV/atom: -1081


# 2
The following is a r2SCAN calculation of a relaxed Ce3S3N crystal, from the Materials Project database.

Structure (extended XYZ):
```
28
Lattice="4.084 0.000 0.000 0.000 12.103 0.000 0.000 0.000 13.035" Properties=species:S:1:pos:R:3 pbc="T T T"
Ce 3.063 4.923 11.399
Ce 1.021 7.180 1.636
Ce 3.063 10.974 8.154
Ce 1.021 1.128 4.881
Ce 3.063 9.324 11.331
Ce 1.021 2.779 1.704
Ce 3.063 3.273 8.222
Ce 1.021 8.830 4.813
Ce 3.063 11.685 1.986
Ce 1.021 0.418 11.049
Ce 3.063 5.634 4.531
Ce 1.021 6.469 8.504
S 3.063 7.771 6.548
S 1.021 4.332 6.487
S 3.063 1.720 13.004
S 1.021 10.383 0.031
S 3.063 5.154 1.390
S 1.021 6.949 11.645
S 3.063 11.205 5.128
S 1.021 0.898 7.908
S 3.063 8.880 2.672
S 1.021 3.223 10.364
S 3.063 2.828 3.846
S 1.021 9.275 9.189
N 3.063 5.406 9.156
N 1.021 6.697 3.880
N 3.063 11.457 10.397
N 1.021 0.645 2.638
```

Calculated values
E, eV per atom: -20.24
V, A^3/atom: 23.012
Magnetization, μB/f.u.: 2.99
Energy of formation from the pure elements, meV/atom: -2277


# 3
The following is a r2SCAN calculation of a relaxed Ce3Se3N crystal, from the Materials Project database.

Structure (extended XYZ):
```
28
Lattice="1.258 1.539 3.681 2.620 -11.870 4.066 12.540 1.137 -4.762" Properties=species:S:1:pos:R:3 pbc="T T T"
Ce 3.677 -3.690 3.851
Ce 7.994 -9.352 4.742
Ce 12.741 -5.505 -0.866
Ce 8.424 0.158 -1.757
Ce 4.681 -7.995 5.307
Ce 6.272 -1.797 2.172
Ce 11.737 -1.199 -2.322
Ce 10.146 -7.398 0.812
Ce 14.073 -9.338 2.658
Ce 10.370 -3.620 1.533
Ce 2.345 0.143 0.327
Ce 6.048 -5.575 1.451
Se 8.856 -5.798 2.962
Se 1.311 -0.428 3.296
Se 7.563 -3.397 0.023
Se 15.107 -8.767 -0.311
Se 13.229 -2.746 0.191
Se 10.948 -9.006 3.588
Se 3.189 -6.449 2.794
Se 5.470 -0.189 -0.603
Se 12.922 -6.588 1.902
Se 10.286 -0.773 0.372
Se 3.496 -2.607 1.083
Se 6.133 -8.422 2.613
N 5.840 -3.855 3.181
N 5.987 -9.896 5.655
N 10.578 -5.339 -0.196
N 10.431 0.701 -2.670
```

Calculated values
E, eV per atom: -22.82
V, A^3/atom: 25.777
Magnetization, μB/f.u.: 3.00
Energy of formation from the pure elements, meV/atom: -2160